The following is a GGA-PBE calculation of an optimized crystal structure of SmCr2Fe10, from Materials Project.

Lattice parameters (Å, degrees): 4.682 8.416 8.491 90.00 90.00 90.00
Space group Immm (No. 71)
Symmetry-distinct sites (fractional):
Sm  0.000  0.000  0.000
Cr  0.000  0.000  0.368
Fe  0.000  0.272  0.500
Fe  0.000  0.360  0.000
Fe  0.000  0.500  0.268
Fe  0.250  0.250  0.250

Calculated values
energy relative to the elements	0.665	kcal/mol of atoms

The following is a GGA-PBE calculation of an optimized crystal structure of ErFe10Re2, from Materials Project.

Lattice parameters (Å, degrees): 4.696 8.478 8.584 90.00 90.00 90.00
Space group Immm (No. 71)
Symmetry-distinct sites (fractional):
Er  0.000  0.000  0.000
Fe  0.000  0.280  0.500
Fe  0.000  0.359  0.000
Fe  0.000  0.500  0.272
Fe  0.250  0.250  0.250
Re  0.000  0.000  0.357

Calculated values
energy relative to the elements	-1.021	kcal/mol of atoms

The following is a GGA-PBE calculation of an optimized crystal structure of Rb2TlAgBr6, from Materials Project.

Lattice parameters (Å, degrees): 11.250 11.250 11.250 90.00 90.00 90.00
Space group Fm-3m (No. 225)
Symmetry-distinct sites (fractional):
Rb  0.250  0.250  0.250
Tl  0.000  0.000  0.000
Ag  0.000  0.000  0.500
Br  0.000  0.000  0.252

Calculated values
energy relative to the elements	-30.321	kcal/mol of atoms

The following is a GGA-PBE calculation of an optimized crystal structure of PrIn2Ni9, from Materials Project.

Lattice parameters (Å, degrees): 8.287 8.287 4.837 90.00 90.00 90.00
Space group P4/mbm (No. 127)
Symmetry-distinct sites (fractional):
Pr  0.000  0.000  0.000
In  0.124  0.376  0.000
Ni  0.000  0.500  0.500
Ni  0.065  0.209  0.500
Ni  0.176  0.676  0.249

Calculated values
energy relative to the elements	-4.538	kcal/mol of atoms